A relaxed structure of Ti2RePt, computed with meta-GGA r2SCAN.

The space group is P4/mmm (No. 123) and the conventional cell measures 3.169, 3.169 and 6.099 Å, with angles of 90.00, 90.00 and 90.00 degrees. Symmetry generates all atoms from Ti at (0.000, 0.000, 0.242), Re at (0.500, 0.500, 0.000) and Pt at (0.500, 0.500, 0.500).

As for the uncorrected energy: -33.2537 eV/atom. Its magnetic moment is 0.000 μB/f.u.

A relaxed structure of Rb3RhF6, computed with meta-GGA r2SCAN.

The space group is Fm-3m (No. 225) and the conventional cell measures 9.113, 9.113 and 9.113 Å, with angles of 90.00, 90.00 and 90.00 degrees. Symmetry generates all atoms from Rb at (0.000, 0.000, 0.000), Rb at (0.250, 0.250, 0.250), Rh at (0.000, 0.000, 0.500) and F at (0.000, 0.000, 0.283).

As for the uncorrected energy: -11.0330 eV/atom. Its magnetic moment is 0.000 μB/f.u.

A relaxed structure of Yb2CdGe, computed with meta-GGA r2SCAN.

The space group is Fm-3m (No. 225) and the conventional cell measures 7.125, 7.125 and 7.125 Å, with angles of 90.00, 90.00 and 90.00 degrees. Symmetry generates all atoms from Yb at (0.250, 0.250, 0.250), Cd at (0.000, 0.000, 0.000) and Ge at (0.000, 0.000, 0.500).

As for the uncorrected energy: -27.2327 eV/atom. Its magnetic moment is 0.000 μB/f.u.